No. 1
Density functional theory data (PBE+U) for a geometry-optimized EuMgFeO3 structure.

ΔE_f = -1.96 eV/atom
final energy = -7.0988 eV per atom
crystal system = tetragonal
relative energy among the computed polymorphs = 0.114 eV per atom
SG = P4/mmm

Lattice parameters (Å, degrees): 3.902 3.902 7.281 90.00 90.00 90.00
Sites, in units of the cell vectors:
Fe  0.000  0.000  0.000
Mg  0.500  0.500  0.000
Eu  0.500  0.500  0.500
O  0.500  0.000  0.000
O  0.000  0.000  0.500
O  0.000  0.500  0.000

***

No. 2
Density functional theory data (PBE+U) for a geometry-optimized Sr5Ti4FeO15 structure.

ΔE_f = -3.27 eV/atom
final energy = -7.6803 eV per atom

Lattice parameters (Å, degrees): 8.803 8.803 8.874 89.34 113.93 101.85
Sites, in units of the cell vectors:
O  0.753  0.949  0.404
O  0.752  0.247  0.499
O  0.752  0.545  0.594
O  0.500  0.400  0.300
O  0.997  0.302  0.101
O  0.503  0.998  0.499
O  0.250  0.150  0.300
O  0.750  0.150  0.800
O  0.750  0.650  0.300
O  0.749  0.454  0.897
O  0.747  0.351  0.196
O  0.247  0.851  0.196
O  0.252  0.045  0.594
O  0.003  0.497  0.499
O  0.252  0.747  0.499
O  0.250  0.650  0.800
O  0.748  0.755  0.006
O  0.251  0.346  0.703
O  0.506  0.600  0.703
O  0.497  0.803  0.101
O  0.494  0.200  0.897
O  0.751  0.846  0.703
O  0.248  0.553  0.101
O  0.248  0.255  0.006
O  0.253  0.449  0.404
O  0.748  0.053  0.101
O  0.249  0.954  0.897
O  0.006  0.100  0.703
O  0.994  0.700  0.897
O  0.000  0.900  0.300
Sr  0.500  0.303  0.605
Sr  0.500  0.497  0.995
Sr  0.001  0.201  0.403
Sr  0.000  0.997  0.995
Sr  0.499  0.099  0.197
Sr  0.000  0.803  0.605
Sr  0.999  0.599  0.197
Sr  0.501  0.701  0.403
Sr  0.500  0.900  0.800
Sr  0.000  0.400  0.800
Fe  0.750  0.650  0.800
Fe  0.250  0.150  0.800
Ti  0.752  0.847  0.198
Ti  0.747  0.051  0.595
Ti  0.253  0.749  0.005
Ti  0.252  0.347  0.198
Ti  0.753  0.249  0.005
Ti  0.246  0.551  0.595
Ti  0.248  0.953  0.402
Ti  0.748  0.453  0.402

***

No. 3
Density functional theory data (PBE+U) for a geometry-optimized FeP4O12 structure.

ΔE_f = -2.33 eV/atom
final energy = -6.9819 eV per atom
crystal system = orthorhombic
relative energy among the computed polymorphs = 0.016 eV per atom
SG = Pnma

Lattice parameters (Å, degrees): 9.136 9.410 10.487 90.00 90.00 90.00
Sites, in units of the cell vectors:
O  0.094  0.636  0.630
O  0.621  0.301  0.919
O  0.250  0.887  0.269
O  0.250  0.627  0.877
O  0.887  0.154  0.525
O  0.387  0.346  0.025
O  0.387  0.846  0.475
O  0.113  0.346  0.025
O  0.879  0.301  0.919
O  0.113  0.846  0.475
O  0.613  0.654  0.975
O  0.406  0.136  0.870
O  0.121  0.699  0.081
O  0.087  0.893  0.712
O  0.250  0.127  0.623
O  0.750  0.353  0.647
O  0.413  0.893  0.712
O  0.094  0.136  0.870
O  0.913  0.107  0.288
O  0.906  0.864  0.130
O  0.406  0.636  0.630
O  0.121  0.199  0.419
O  0.587  0.107  0.288
O  0.087  0.393  0.788
O  0.250  0.647  0.353
O  0.379  0.699  0.081
O  0.750  0.111  0.054
O  0.587  0.607  0.212
O  0.887  0.654  0.975
O  0.750  0.853  0.853
O  0.750  0.873  0.377
O  0.750  0.611  0.446
O  0.906  0.364  0.370
O  0.879  0.801  0.581
O  0.750  0.613  0.769
O  0.250  0.889  0.946
O  0.750  0.113  0.731
O  0.250  0.387  0.231
O  0.250  0.147  0.147
O  0.413  0.393  0.788
O  0.621  0.801  0.581
O  0.613  0.154  0.525
O  0.913  0.607  0.212
O  0.750  0.373  0.123
O  0.250  0.389  0.554
O  0.594  0.364  0.370
O  0.379  0.199  0.419
O  0.594  0.864  0.130
P  0.750  0.198  0.609
P  0.951  0.212  0.390
P  0.451  0.288  0.890
P  0.750  0.765  0.483
P  0.049  0.788  0.610
P  0.750  0.265  0.017
P  0.951  0.712  0.110
P  0.250  0.802  0.391
P  0.549  0.212  0.390
P  0.451  0.788  0.610
P  0.250  0.302  0.109
P  0.750  0.698  0.891
P  0.250  0.235  0.517
P  0.549  0.712  0.110
P  0.250  0.735  0.983
P  0.049  0.288  0.890
Fe  0.250  0.513  0.711
Fe  0.250  0.013  0.789
Fe  0.750  0.987  0.211
Fe  0.750  0.487  0.289

***

No. 4
Density functional theory data (PBE+U) for a geometry-optimized Mn7Pb3O15 structure.

ΔE_f = -1.83 eV/atom
final energy = -6.9352 eV per atom
crystal system = orthorhombic
relative energy among the computed polymorphs = 0.000 eV per atom
SG = Cmc2_1

Lattice parameters (Å, degrees): 10.175 10.175 13.827 90.00 90.00 118.43
Sites, in units of the cell vectors:
Mn  0.666  0.835  0.507
Mn  0.679  0.342  0.655
Mn  0.491  0.491  0.013
Mn  0.339  0.170  0.505
Mn  0.509  0.509  0.513
Mn  0.834  0.169  0.004
Mn  0.342  0.679  0.655
Mn  0.500  0.998  0.005
Mn  0.328  0.666  0.360
Mn  0.661  0.830  0.005
Mn  0.002  0.500  0.505
Mn  0.165  0.334  0.007
Mn  0.997  0.997  0.500
Mn  0.830  0.661  0.005
Mn  0.166  0.831  0.504
Mn  0.831  0.166  0.504
Mn  0.998  0.500  0.005
Mn  0.658  0.321  0.155
Mn  0.169  0.834  0.004
Mn  0.170  0.339  0.505
Mn  0.500  0.002  0.505
Mn  0.672  0.334  0.860
Mn  0.321  0.658  0.155
Mn  0.666  0.328  0.360
Mn  0.835  0.666  0.507
Mn  0.003  0.003  0.000
Mn  0.334  0.672  0.860
Mn  0.334  0.165  0.007
O  0.474  0.823  0.266
O  0.355  0.837  0.747
O  0.169  0.677  0.587
O  0.496  0.653  0.094
O  0.476  0.657  0.761
O  0.329  0.486  0.936
O  0.645  0.163  0.247
O  0.155  0.490  0.425
O  0.343  0.524  0.261
O  0.831  0.317  0.423
O  0.831  0.323  0.087
O  0.521  0.854  0.583
O  0.996  0.324  0.574
O  0.510  0.845  0.925
O  0.981  0.147  0.426
O  0.823  0.474  0.266
O  0.317  0.831  0.423
O  0.673  0.673  0.583
O  0.514  0.671  0.436
O  0.323  0.831  0.087
O  0.677  0.169  0.587
O  0.683  0.169  0.923
O  0.146  0.479  0.083
O  0.324  0.996  0.574
O  0.838  0.838  0.070
O  0.837  0.355  0.747
O  0.657  0.476  0.761
O  0.000  0.835  0.577
O  0.486  0.329  0.936
O  0.170  0.170  0.934
O  0.004  0.676  0.074
O  0.524  0.343  0.261
O  0.999  0.670  0.433
O  0.835  0.000  0.577
O  0.163  0.645  0.247
O  0.504  0.347  0.594
O  0.653  0.653  0.937
O  0.845  0.510  0.925
O  0.327  0.327  0.083
O  0.653  0.496  0.094
O  0.019  0.853  0.926
O  0.490  0.155  0.425
O  0.830  0.830  0.434
O  0.169  0.683  0.923
O  0.853  0.019  0.926
O  0.854  0.521  0.583
O  0.177  0.526  0.766
O  0.162  0.162  0.570
O  0.147  0.981  0.426
O  0.676  0.004  0.074
O  0.526  0.177  0.766
O  0.330  0.001  0.933
O  0.670  0.999  0.433
O  0.347  0.347  0.437
O  0.001  0.330  0.933
O  0.165  0.000  0.077
O  0.479  0.146  0.083
O  0.000  0.165  0.077
O  0.671  0.514  0.436
O  0.347  0.504  0.594
Pb  0.616  0.006  0.755
Pb  0.393  0.393  0.747
Pb  0.992  0.728  0.256
Pb  0.728  0.728  0.767
Pb  0.008  0.272  0.756
Pb  0.384  0.994  0.255
Pb  0.272  0.272  0.267
Pb  0.006  0.616  0.755
Pb  0.607  0.607  0.247
Pb  0.728  0.992  0.256
Pb  0.994  0.384  0.255
Pb  0.272  0.008  0.756

***

No. 5
Density functional theory data (PBE+U) for a geometry-optimized Li2NiBiO4 structure.

ΔE_f = -1.66 eV/atom
final energy = -5.1628 eV per atom
relative energy among the computed polymorphs = 0.002 eV per atom

Lattice parameters (Å, degrees): 6.268 8.325 8.325 65.05 112.21 112.21
Sites, in units of the cell vectors:
Ni  0.377  0.876  0.376
Ni  0.623  0.624  0.123
Ni  0.877  0.376  0.876
Ni  0.124  0.124  0.624
O  0.500  0.256  0.744
O  0.000  0.244  0.756
O  0.630  0.862  0.894
O  0.870  0.606  0.638
O  0.250  0.003  0.496
O  0.250  0.496  0.004
O  0.000  0.756  0.244
O  0.874  0.138  0.106
O  0.626  0.394  0.362
O  0.750  0.504  0.996
O  0.370  0.106  0.138
O  0.750  0.996  0.504
O  0.500  0.744  0.256
O  0.130  0.362  0.394
O  0.374  0.638  0.606
O  0.126  0.894  0.862
Li  0.623  0.123  0.623
Li  0.000  0.500  0.500
Li  0.500  0.000  0.000
Li  0.377  0.377  0.877
Li  0.750  0.750  0.750
Li  0.877  0.877  0.377
Li  0.123  0.623  0.123
Li  0.250  0.250  0.250
Bi  0.000  0.000  0.000
Bi  0.750  0.250  0.250
Bi  0.250  0.750  0.750
Bi  0.500  0.500  0.500

***

No. 6
Density functional theory data (PBE+U) for a geometry-optimized LiCo6O2F10 structure.

ΔE_f = -2.08 eV/atom
final energy = -5.1221 eV per atom
crystal system = triclinic
relative energy among the computed polymorphs = 0.000 eV per atom
SG = P1

Lattice parameters (Å, degrees): 4.829 4.853 9.289 90.11 90.16 91.73
Sites, in units of the cell vectors:
O  0.704  0.644  0.013
O  0.297  0.355  0.312
Co  0.044  0.029  0.332
Co  0.498  0.491  0.488
Co  0.504  0.509  0.837
Co  0.500  0.500  0.162
Co  0.956  0.971  0.993
Co  0.002  0.000  0.663
F  0.711  0.681  0.658
F  0.747  0.675  0.313
F  0.294  0.320  0.667
F  0.782  0.173  0.168
F  0.776  0.170  0.828
F  0.253  0.325  0.012
F  0.804  0.189  0.492
F  0.217  0.826  0.157
F  0.228  0.830  0.497
F  0.199  0.812  0.833
Li  0.000  0.499  0.162

***

No. 7
Density functional theory data (PBE+U) for a geometry-optimized CaW2O4 structure.

ΔE_f = -2.02 eV/atom
final energy = -7.1760 eV per atom
crystal system = triclinic
relative energy among the computed polymorphs = 0.051 eV per atom
SG = P1

Lattice parameters (Å, degrees): 6.566 6.663 16.226 90.88 90.00 119.29
Sites, in units of the cell vectors:
O  0.035  0.052  0.754
O  0.825  0.651  0.097
O  0.686  0.371  0.421
O  0.629  0.290  0.900
O  0.174  0.341  0.897
O  0.497  0.997  0.764
O  0.173  0.862  0.891
O  0.680  0.804  0.425
O  0.541  0.524  0.245
O  0.342  0.147  0.097
O  0.123  0.803  0.424
O  0.500  0.002  0.236
O  0.161  0.322  0.433
O  0.460  0.470  0.758
O  0.806  0.147  0.096
O  0.833  0.668  0.569
O  0.022  0.480  0.755
O  0.310  0.620  0.580
O  0.875  0.190  0.579
O  0.674  0.850  0.898
O  0.314  0.188  0.577
O  0.974  0.950  0.248
O  0.349  0.698  0.092
O  0.983  0.523  0.245
W  0.337  0.172  0.831
W  0.335  0.669  0.832
W  0.498  0.495  0.500
W  0.836  0.172  0.831
W  0.997  0.995  0.501
W  0.664  0.327  0.168
W  0.168  0.833  0.168
W  0.831  0.662  0.334
W  0.664  0.832  0.168
W  0.169  0.335  0.666
W  0.868  0.735  0.975
W  0.997  0.495  0.500
Ca  0.168  0.333  0.043
Ca  0.505  0.003  0.002
Ca  0.838  0.672  0.712
Ca  0.498  0.997  0.622
Ca  0.496  0.994  0.376
Ca  0.164  0.328  0.289

***

No. 8
Density functional theory data (PBE+U) for a geometry-optimized Li2VSi4O11 structure.

ΔE_f = -2.96 eV/atom
final energy = -7.3954 eV per atom
crystal system = monoclinic
relative energy among the computed polymorphs = 0.000 eV per atom
SG = C2/c

Lattice parameters (Å, degrees): 7.262 7.262 8.222 81.25 81.25 83.87
Sites, in units of the cell vectors:
O  0.731  0.153  0.948
O  0.140  0.399  0.665
O  0.269  0.847  0.052
O  0.210  0.412  0.326
O  0.943  0.761  0.030
O  0.749  0.461  0.088
O  0.539  0.251  0.412
O  0.239  0.057  0.470
O  0.588  0.790  0.174
O  0.860  0.601  0.335
O  0.153  0.731  0.448
O  0.867  0.133  0.250
O  0.761  0.943  0.530
O  0.251  0.539  0.912
O  0.057  0.239  0.970
O  0.461  0.749  0.588
O  0.790  0.588  0.674
O  0.847  0.269  0.552
O  0.133  0.867  0.750
O  0.412  0.210  0.826
O  0.601  0.860  0.835
O  0.399  0.140  0.165
Li  0.081  0.919  0.250
Li  0.919  0.081  0.750
Li  0.353  0.647  0.250
Li  0.647  0.353  0.750
Si  0.779  0.656  0.158
Si  0.750  0.157  0.437
Si  0.344  0.221  0.342
Si  0.656  0.779  0.658
Si  0.250  0.843  0.563
Si  0.221  0.344  0.842
Si  0.157  0.750  0.937
Si  0.843  0.250  0.063
V  0.000  0.500  0.500
V  0.500  0.000  0.000

***

Q: ΔE_f of number 4 (Mn7Pb3O15)?
A: -1.83 eV/atom